Density functional theory data (PBE) for a relaxed Ba3Ce2O6 crystal.

Structure (extended XYZ):
```
11
Lattice="-2.264 2.264 10.999 2.264 -2.264 10.999 2.264 2.264 -10.999" Properties=species:S:1:pos:R:3 pbc="T T T"
Ba 0.000 0.000 15.052
Ba 0.000 0.000 10.999
Ba 0.000 0.000 6.947
Ce 0.000 0.000 19.809
Ce 0.000 0.000 2.189
O 2.264 0.000 1.910
O 2.264 0.000 9.089
O 0.000 0.000 17.587
O 0.000 0.000 4.412
O 0.000 2.264 1.910
O 0.000 2.264 9.089
```

Energy of formation from the pure elements = -3235 meV per atom